Cd3B7O14: optimized geometry, PBE.

## Properties
- volume (Å³/atom) = 10.37
- formation enthalpy at 0 K (eV/atom) = -2.444
- magnetic moment (μB per atom) = 0.042
- final energy (eV for the cell shown) = -335.7

Lattice parameters (Å, degrees): 8.867 8.867 8.867 60.42 60.42 60.42
Sites, in units of the cell vectors:
B 0.571 0.271 0.571
B 0.254 0.750 0.746
B 0.754 0.246 0.250
B 0.571 0.571 0.271
B 0.071 0.771 0.071
B 0.071 0.071 0.771
B 0.746 0.254 0.750
B 0.246 0.250 0.754
B 0.750 0.746 0.254
B 0.771 0.071 0.071
B 0.271 0.571 0.571
B 0.603 0.603 0.603
B 0.250 0.754 0.246
B 0.103 0.103 0.103
O 0.446 0.755 0.618
O 0.936 0.687 0.124
O 0.241 0.706 0.934
O 0.755 0.618 0.446
O 0.486 0.486 0.486
O 0.609 0.736 0.221
O 0.706 0.934 0.241
O 0.624 0.187 0.436
O 0.206 0.741 0.434
O 0.934 0.241 0.706
O 0.236 0.109 0.721
O 0.255 0.946 0.118
O 0.783 0.783 0.783
O 0.986 0.986 0.986
O 0.283 0.283 0.283
O 0.946 0.118 0.255
O 0.118 0.255 0.946
O 0.436 0.624 0.187
O 0.187 0.436 0.624
O 0.434 0.206 0.741
O 0.124 0.936 0.687
O 0.736 0.221 0.609
O 0.109 0.721 0.236
O 0.721 0.236 0.109
O 0.221 0.609 0.736
O 0.687 0.124 0.936
O 0.618 0.446 0.755
O 0.741 0.434 0.206
Cd 0.046 0.456 0.451
Cd 0.951 0.956 0.546
Cd 0.546 0.951 0.956
Cd 0.956 0.546 0.951
Cd 0.456 0.451 0.046
Cd 0.451 0.046 0.456


LiSm4Tm4O12: optimized geometry, PBE.

## Properties
- volume (Å³/atom) = 14.03
- formation enthalpy at 0 K (eV/atom) = -3.636
- magnetic moment (μB per atom) = 0.047
- final energy (eV for the cell shown) = -166.2
- energy above the most stable polymorph in this dataset (meV/atom) = 3

Lattice parameters (Å, degrees): 6.057 8.464 5.753 87.53 88.69 89.24
Sites, in units of the cell vectors:
Tm 0.514 0.001 0.948
Tm 0.960 0.998 0.509
Tm 0.002 0.501 0.504
Tm 0.504 0.503 0.997
O 0.809 0.413 0.813
O 0.314 0.453 0.691
O 0.428 0.237 0.129
O 0.196 0.932 0.207
O 0.055 0.747 0.636
O 0.937 0.253 0.364
O 0.296 0.090 0.667
O 0.867 0.019 0.877
O 0.698 0.567 0.309
O 0.564 0.750 0.854
O 0.209 0.583 0.201
O 0.660 0.931 0.318
Sm 0.428 0.735 0.471
Sm 0.952 0.760 0.020
Sm 0.059 0.234 0.984
Sm 0.561 0.300 0.497
Li 0.383 0.055 0.361


VCu3S4: optimized geometry, PBE.

## Properties
- volume (Å³/atom) = 19.78
- formation enthalpy at 0 K (eV/atom) = -0.857
- final energy (eV for the cell shown) = -42.8
- piezoelectric modulus e_max (C/m2) = 0.11

Lattice parameters (Å, degrees): 5.409 5.409 5.409 90.00 90.00 90.00
Sites, in units of the cell vectors:
S 0.764 0.764 0.236
S 0.764 0.236 0.764
S 0.236 0.236 0.236
S 0.236 0.764 0.764
Cu 0.000 0.000 0.500
Cu 0.000 0.500 0.000
Cu 0.500 0.000 0.000
V 0.000 0.000 0.000


ReSe2: optimized geometry, PBE.

## Properties
- volume (Å³/atom) = 22.74
- formation enthalpy at 0 K (eV/atom) = -0.714
- final energy (eV for the cell shown) = -82.5

Lattice parameters (Å, degrees): 6.670 6.793 7.200 91.83 104.15 118.81
Sites, in units of the cell vectors:
Se 0.220 0.107 0.708
Se 0.780 0.893 0.292
Se 0.274 0.657 0.745
Se 0.255 0.386 0.224
Se 0.726 0.343 0.255
Se 0.249 0.866 0.318
Se 0.751 0.134 0.682
Se 0.745 0.614 0.776
Re 0.513 0.709 0.503
Re 0.487 0.291 0.497
Re 0.064 0.316 0.491
Re 0.936 0.684 0.509


Mg2TiO4: optimized geometry, PBE.

## Properties
- volume (Å³/atom) = 11.10
- formation enthalpy at 0 K (eV/atom) = -3.282
- final energy (eV for the cell shown) = -204.4
- energy above the most stable polymorph in this dataset (meV/atom) = 0

Lattice parameters (Å, degrees): 6.052 6.052 8.488 90.00 90.00 90.00
Sites, in units of the cell vectors:
O 0.261 0.517 0.517
O 0.483 0.739 0.733
O 0.483 0.261 0.767
O 0.263 0.027 0.998
O 0.973 0.263 0.248
O 0.261 0.483 0.983
O 0.737 0.027 0.002
O 0.517 0.739 0.267
O 0.027 0.737 0.748
O 0.739 0.483 0.017
O 0.517 0.261 0.233
O 0.973 0.737 0.252
O 0.737 0.973 0.498
O 0.739 0.517 0.483
O 0.263 0.973 0.502
O 0.027 0.263 0.752
Mg 0.253 0.747 0.125
Mg 0.747 0.253 0.625
Mg 0.000 0.751 0.500
Mg 0.000 0.249 0.000
Mg 0.751 0.000 0.250
Mg 0.747 0.747 0.875
Mg 0.249 0.000 0.750
Mg 0.253 0.253 0.375
Ti 0.500 0.236 0.000
Ti 0.236 0.500 0.750
Ti 0.500 0.764 0.500
Ti 0.764 0.500 0.250


MgTl3VS4: optimized geometry, PBE.

## Properties
- volume (Å³/atom) = 28.46
- formation enthalpy at 0 K (eV/atom) = -0.731
- magnetic moment (μB per atom) = 0.223
- final energy (eV for the cell shown) = -38.9

Lattice parameters (Å, degrees): 6.807 7.273 6.831 110.86 108.05 110.73
Sites, in units of the cell vectors:
S 0.683 0.020 0.000
S 0.000 0.657 0.000
S 0.000 0.022 0.685
S 0.316 0.337 0.315
Mg 0.997 0.336 0.000
Tl 0.486 0.990 0.486
Tl 0.511 0.503 0.000
Tl 0.000 0.504 0.514
V 0.001 0.975 0.000


Mn2Au: optimized geometry, PBE.

## Properties
- volume (Å³/atom) = 15.50
- formation enthalpy at 0 K (eV/atom) = 0.180
- magnetic moment (μB per atom) = 2.333
- final energy (eV for the cell shown) = -21.1

Lattice parameters (Å, degrees): 2.863 2.863 6.021 103.75 103.75 90.00
Sites, in units of the cell vectors:
Au 0.000 0.000 0.000
Mn 0.327 0.327 0.653
Mn 0.673 0.673 0.347


SrZnBi2: optimized geometry, PBE.

## Properties
- volume (Å³/atom) = 30.38
- formation enthalpy at 0 K (eV/atom) = -0.431
- final energy (eV for the cell shown) = -24.9

Lattice parameters (Å, degrees): 4.634 4.634 11.783 101.34 101.34 90.00
Sites, in units of the cell vectors:
Zn 0.250 0.750 0.500
Zn 0.750 0.250 0.500
Sr 0.121 0.121 0.242
Sr 0.879 0.879 0.758
Bi 0.000 0.500 0.000
Bi 0.672 0.672 0.344
Bi 0.328 0.328 0.656
Bi 0.500 0.000 0.000


Mg2Sn: optimized geometry, PBE.

## Properties
- volume (Å³/atom) = 24.24
- formation enthalpy at 0 K (eV/atom) = 0.033
- magnetic moment (μB per atom) = 0.000
- final energy (eV for the cell shown) = -14.2

Lattice parameters (Å, degrees): 5.903 5.903 5.903 60.00 60.00 60.00
Sites, in units of the cell vectors:
Mg 0.125 0.625 0.125
Mg 0.125 0.125 0.125
Mg 0.625 0.125 0.125
Mg 0.125 0.125 0.625
Sn 0.750 0.750 0.750
Sn 0.500 0.500 0.500


Dy4C5: optimized geometry, PBE.

## Properties
- volume (Å³/atom) = 16.07
- formation enthalpy at 0 K (eV/atom) = -0.323
- final energy (eV for the cell shown) = -135.0

Lattice parameters (Å, degrees): 3.674 6.576 11.976 90.00 90.00 90.00
Sites, in units of the cell vectors:
C 0.000 0.094 0.344
C 0.000 0.861 0.764
C 0.000 0.361 0.736
C 0.500 0.500 0.500
C 0.000 0.594 0.156
C 0.000 0.139 0.236
C 0.000 0.639 0.264
C 0.000 0.406 0.844
C 0.000 0.906 0.656
C 0.500 0.000 0.000
Dy 0.000 0.755 0.957
Dy 0.000 0.745 0.457
Dy 0.000 0.245 0.043
Dy 0.500 0.608 0.696
Dy 0.500 0.392 0.304
Dy 0.500 0.892 0.196
Dy 0.500 0.108 0.804
Dy 0.000 0.255 0.543


LiSi: optimized geometry, PBE.

## Properties
- volume (Å³/atom) = 24.43
- formation enthalpy at 0 K (eV/atom) = 0.044
- magnetic moment (μB per atom) = 0.000
- final energy (eV for the cell shown) = -58.5

Lattice parameters (Å, degrees): 8.127 8.127 8.127 102.43 102.43 124.73
Sites, in units of the cell vectors:
Li 0.189 0.586 0.773
Li 0.666 0.939 0.103
Li 0.813 0.416 0.227
Li 0.836 0.563 0.897
Li 0.437 0.334 0.273
Li 0.061 0.164 0.727
Li 0.414 0.187 0.603
Li 0.584 0.811 0.397
Si 0.507 0.569 0.843
Si 0.726 0.665 0.157
Si 0.915 0.257 0.438
Si 0.431 0.274 0.938
Si 0.819 0.476 0.562
Si 0.335 0.493 0.062
Si 0.524 0.085 0.343
Si 0.743 0.181 0.657


Tl2FeCu3Te4: optimized geometry, PBE.

## Properties
- volume (Å³/atom) = 25.85
- formation enthalpy at 0 K (eV/atom) = -0.293
- magnetic moment (μB per atom) = 0.439
- final energy (eV for the cell shown) = -39.3
- energy above the most stable polymorph in this dataset (meV/atom) = 0

Lattice parameters (Å, degrees): 8.094 8.094 5.858 90.00 90.00 137.65
Sites, in units of the cell vectors:
Te 0.863 0.643 0.247
Te 0.137 0.357 0.247
Te 0.643 0.863 0.753
Te 0.357 0.137 0.753
Cu 0.500 0.500 0.000
Cu 0.000 0.000 0.500
Cu 0.500 0.500 0.500
Tl 0.000 0.500 0.751
Tl 0.500 0.000 0.249
Fe 0.000 0.000 0.000